1.
AuCl4: relaxed, PBE-GGA.

a b c (Å): 9.957 9.957 17.037
angles (deg): 90.00 90.00 90.00
Space group I4_1/amd (No. 141, origin choice 2)
Unique sites:
Au1 0.000 0.250 0.375
Cl1 0.000 0.019 0.379

Properties
* formation energy from the elements: -536 meV/atom
* calculated total energy: -2.18 eV per atom
* volume: 1689.0 Å³ per cell
* calculated density: 1.3 g/cm³



2.
AuCl2: relaxed, PBE-GGA.

a b c (Å): 7.151 7.304 7.351
angles (deg): 88.18 69.74 86.63
Space group P-1 (No. 2)
Unique sites:
Au1 0.122 0.247 0.093
Au2 0.227 0.517 0.462
Cl1 0.072 0.750 0.100
Cl2 0.168 0.792 0.626
Cl3 0.322 0.244 0.293
Cl4 0.404 0.282 0.822

Properties
* formation energy from the elements: -660 meV/atom
* calculated total energy: -2.57 eV per atom
* volume: 359.5 Å³ per cell
* calculated density: 4.9 g/cm³



3.
CsAuCl4: relaxed, PBE-GGA.

a b c (Å): 13.340 6.394 10.219
angles (deg): 90.00 104.83 90.00
Space group C2/c (No. 15)
Unique sites:
Cs1 0.000 0.202 0.250
Au1 0.250 0.250 0.000
Cl1 0.072 0.296 0.931
Cl2 0.227 0.033 0.633

Properties
* formation energy from the elements: -1359 meV/atom
* calculated total energy: -2.88 eV per atom
* volume: 842.5 Å³ per cell
* calculated density: 3.7 g/cm³



4.
CsAuCl3: relaxed, PBE-GGA.

a b c (Å): 7.600 7.600 11.326
angles (deg): 90.00 90.00 90.00
Space group I4/mmm (No. 139)
Unique sites:
Cs1 0.000 0.500 0.250
Au1 0.000 0.000 0.000
Au2 0.000 0.000 0.500
Cl1 0.000 0.000 0.205
Cl2 0.220 0.220 0.500

Properties
* formation energy from the elements: -1414 meV/atom
* calculated total energy: -2.99 eV per atom
* volume: 654.2 Å³ per cell
* calculated density: 4.4 g/cm³